# GGA+U Li4V3O8, optimized geometry
# **E_form**: -2.455 eV per atom
# **Total magnetization**: 0.20 μB/atom
# **ΔE to the lowest computed polymorph**: 0 kJ/mol of formula units
data_Li4V3O8
_cell_length_a 6.217
_cell_length_b 4.027
_cell_length_c 11.802
_cell_angle_alpha 90.00
_cell_angle_beta 100.35
_cell_angle_gamma 90.00
_symmetry_space_group_name_H-M 'P 1 21/m 1'
_symmetry_Int_Tables_number 11
loop_
_symmetry_equiv_pos_as_xyz
'x,y,z'
'-x,-y,-z'
'-x,y+1/2,-z'
'x,-y+1/2,z'
loop_
_atom_site_label
_atom_site_type_symbol
_atom_site_fract_x
_atom_site_fract_y
_atom_site_fract_z
Li1 Li 0.014 0.250 0.318
Li2 Li 0.183 0.250 0.594
Li3 Li 0.422 0.250 0.058
Li4 Li 0.451 0.750 0.697
V1 V 0.112 0.750 0.922
V2 V 0.233 0.750 0.192
V3 V 0.330 0.750 0.447
O1 O 0.056 0.250 0.934
O2 O 0.074 0.750 0.317
O3 O 0.180 0.750 0.562
O4 O 0.193 0.250 0.178
O5 O 0.270 0.750 0.819
O6 O 0.359 0.750 0.057
O7 O 0.369 0.250 0.454
O8 O 0.483 0.750 0.310